Record 1
# Mg14VZn

Crystalline Mg14VZn at its relaxed geometry (PBE, the Materials Project).

a = 10.1710 Å, b = 6.2706 Å, c = 10.8677 Å
α = 90.00°, β = 90.00°, γ = 90.00°
Space group Amm2 (No. 38)
Asymmetric unit:
Mg 0.0000 0.0000 0.0000 (multiplicity 2)
Mg 0.0000 0.0000 0.5000 (multiplicity 2)
Mg 0.0000 0.2498 0.2513 (multiplicity 4)
Mg 0.2532 0.0000 0.1649 (multiplicity 4)
Mg 0.2530 0.0000 0.6658 (multiplicity 4)
Mg 0.2600 0.2488 0.9201 (multiplicity 8)
Mg 0.5000 0.2471 0.2500 (multiplicity 4)
V 0.5000 0.0000 0.0012 (multiplicity 2)
Zn 0.5000 0.0000 0.4990 (multiplicity 2)

Computed properties:
Crystal system = orthorhombic
E_form = 0.074 eV per atom

=====

Record 2
# BaH4O6

Crystalline BaH4O6 at its relaxed geometry (PBE, the Materials Project).

a = 8.5826 Å, b = 9.7662 Å, c = 6.4602 Å
α = 90.00°, β = 95.46°, γ = 90.00°
Space group C2 (No. 5)
Asymmetric unit:
Ba 0.0000 0.0000 0.0000 (multiplicity 2)
Ba 0.0000 0.3355 0.5000 (multiplicity 2)
H 0.1188 0.6699 0.2212 (multiplicity 4)
H 0.1420 0.3854 0.0466 (multiplicity 4)
H 0.2128 0.9676 0.5767 (multiplicity 4)
H 0.2427 0.7457 0.1098 (multiplicity 4)
O 0.0670 0.2863 0.9350 (multiplicity 4)
O 0.1576 0.7630 0.1994 (multiplicity 4)
O 0.1660 0.1257 0.3312 (multiplicity 4)
O 0.1909 0.9099 0.7034 (multiplicity 4)
O 0.1944 0.4746 0.1406 (multiplicity 4)
O 0.2172 0.5385 0.6077 (multiplicity 4)

Computed properties:
Crystal system = monoclinic
E_form = -1.292 eV per atom

=====

What did the second record say?
# BaH4O6

Crystalline BaH4O6 at its relaxed geometry (PBE, the Materials Project).

a = 8.5826 Å, b = 9.7662 Å, c = 6.4602 Å
α = 90.00°, β = 95.46°, γ = 90.00°
Space group C2 (No. 5)
Asymmetric unit:
Ba 0.0000 0.0000 0.0000 (multiplicity 2)
Ba 0.0000 0.3355 0.5000 (multiplicity 2)
H 0.1188 0.6699 0.2212 (multiplicity 4)
H 0.1420 0.3854 0.0466 (multiplicity 4)
H 0.2128 0.9676 0.5767 (multiplicity 4)
H 0.2427 0.7457 0.1098 (multiplicity 4)
O 0.0670 0.2863 0.9350 (multiplicity 4)
O 0.1576 0.7630 0.1994 (multiplicity 4)
O 0.1660 0.1257 0.3312 (multiplicity 4)
O 0.1909 0.9099 0.7034 (multiplicity 4)
O 0.1944 0.4746 0.1406 (multiplicity 4)
O 0.2172 0.5385 0.6077 (multiplicity 4)

Computed properties:
Crystal system = monoclinic
E_form = -1.292 eV per atom

=====

Which of these has the highest E_form?
Mg14VZn